Crystalline PrSe2 at its relaxed geometry, computed with meta-GGA r2SCAN.

E	-21.212	eV per atom
energy relative to the elements	-1.869	eV/atom
total moment	0.000	μB/atom

a = 8.409 Å, b = 8.409 Å, c = 8.621 Å
α = 90.00°, β = 90.00°, γ = 90.00°
Atoms (fractional coordinates):
Se (0.002, 0.250, 0.632)
Se (0.274, 0.226, 0.000)
Se (0.498, 0.750, 0.632)
Se (0.250, 0.998, 0.368)
Se (0.998, 0.750, 0.632)
Se (0.726, 0.774, 0.000)
Se (0.250, 0.498, 0.368)
Se (0.500, 0.000, 0.000)
Se (0.502, 0.250, 0.632)
Se (0.226, 0.726, 0.000)
Se (0.000, 0.500, 0.000)
Se (0.750, 0.002, 0.368)
Se (0.500, 0.500, 0.000)
Se (0.750, 0.502, 0.368)
Se (0.774, 0.274, 0.000)
Se (0.000, 0.000, 0.000)
Pr (0.508, 0.251, 0.275)
Pr (0.992, 0.751, 0.275)
Pr (0.249, 0.992, 0.725)
Pr (0.492, 0.749, 0.275)
Pr (0.749, 0.508, 0.725)
Pr (0.251, 0.492, 0.725)
Pr (0.751, 0.008, 0.725)
Pr (0.008, 0.249, 0.275)

Crystalline SrNbO3 at its relaxed geometry, computed with meta-GGA r2SCAN.

E	-14.556	eV per atom
energy relative to the elements	-2.997	eV/atom
total moment	0.001	μB/atom

a = 4.070 Å, b = 4.070 Å, c = 4.070 Å
α = 90.00°, β = 90.00°, γ = 90.00°
Atoms (fractional coordinates):
O (0.500, 0.000, 0.000)
O (0.000, 0.000, 0.500)
O (0.000, 0.500, 0.000)
Sr (0.500, 0.500, 0.500)
Nb (0.000, 0.000, 0.000)

Crystalline EuCl2 at its relaxed geometry, computed with meta-GGA r2SCAN.

E	-19.615	eV per atom
energy relative to the elements	-2.673	eV/atom
total moment	2.333	μB/atom

a = 4.515 Å, b = 7.497 Å, c = 8.977 Å
α = 90.00°, β = 90.00°, γ = 90.00°
Atoms (fractional coordinates):
Cl (0.750, 0.481, 0.337)
Cl (0.750, 0.358, 0.924)
Cl (0.750, 0.858, 0.576)
Cl (0.250, 0.142, 0.424)
Cl (0.250, 0.519, 0.663)
Cl (0.250, 0.019, 0.837)
Cl (0.750, 0.981, 0.163)
Cl (0.250, 0.642, 0.076)
Eu (0.750, 0.754, 0.889)
Eu (0.750, 0.254, 0.611)
Eu (0.250, 0.246, 0.111)
Eu (0.250, 0.746, 0.389)

Crystalline MnO2 at its relaxed geometry, computed with meta-GGA r2SCAN.

E	-10.876	eV per atom
energy relative to the elements	-1.999	eV/atom
total moment	1.000	μB/atom

a = 2.856 Å, b = 9.327 Å, c = 9.327 Å
α = 90.00°, β = 90.00°, γ = 90.00°
Atoms (fractional coordinates):
O (0.500, 0.669, 0.113)
O (0.000, 0.405, 0.095)
O (0.000, 0.113, 0.331)
O (0.000, 0.915, 0.154)
O (0.500, 0.331, 0.887)
O (0.000, 0.887, 0.669)
O (0.000, 0.595, 0.905)
O (0.500, 0.154, 0.085)
O (0.000, 0.085, 0.846)
O (0.500, 0.095, 0.595)
O (0.500, 0.846, 0.915)
O (0.500, 0.905, 0.405)
Mn (0.500, 0.500, 0.000)
Mn (0.500, 0.982, 0.765)
Mn (0.000, 0.235, 0.982)
Mn (0.500, 0.018, 0.235)
Mn (0.000, 0.000, 0.500)
Mn (0.000, 0.765, 0.018)

Crystalline CeFe2Ge2 at its relaxed geometry, computed with meta-GGA r2SCAN.

E	-17.932	eV per atom
energy relative to the elements	-0.450	eV/atom
total moment	1.247	μB/atom

a = 6.186 Å, b = 6.186 Å, c = 6.186 Å
α = 142.32°, β = 142.32°, γ = 54.35°
Atoms (fractional coordinates):
Ge (0.617, 0.617, 0.000)
Ge (0.383, 0.383, 0.000)
Ce (0.000, 0.000, 0.000)
Fe (0.750, 0.250, 0.500)
Fe (0.250, 0.750, 0.500)

Crystalline AcSm3 at its relaxed geometry, computed with meta-GGA r2SCAN.

E	-39.412	eV per atom
energy relative to the elements	0.047	eV/atom
total moment	0.000	μB/atom

a = 6.412 Å, b = 6.412 Å, c = 6.412 Å
α = 131.09°, β = 131.09°, γ = 71.67°
Atoms (fractional coordinates):
Sm (0.750, 0.250, 0.500)
Sm (0.500, 0.500, 0.000)
Sm (0.250, 0.750, 0.500)
Ac (0.000, 0.000, 0.000)

Crystalline Lu3Mg at its relaxed geometry, computed with meta-GGA r2SCAN.

E	-29.594	eV per atom
energy relative to the elements	0.008	eV/atom
total moment	0.001	μB/atom

a = 6.829 Å, b = 6.829 Å, c = 5.479 Å
α = 90.00°, β = 90.00°, γ = 120.00°
Atoms (fractional coordinates):
Lu (0.831, 0.169, 0.750)
Lu (0.169, 0.831, 0.250)
Lu (0.663, 0.831, 0.250)
Lu (0.169, 0.337, 0.250)
Lu (0.337, 0.169, 0.750)
Lu (0.831, 0.663, 0.750)
Mg (0.667, 0.333, 0.250)
Mg (0.333, 0.667, 0.750)

Crystalline ZnSb2Cl2O3 at its relaxed geometry, computed with meta-GGA r2SCAN.

E	-12.730	eV per atom
energy relative to the elements	-1.412	eV/atom
total moment	0.000	μB/atom

a = 5.590 Å, b = 6.428 Å, c = 17.315 Å
α = 90.00°, β = 90.00°, γ = 90.00°
Atoms (fractional coordinates):
Sb (0.750, 0.757, 0.241)
Sb (0.750, 0.743, 0.741)
Sb (0.750, 0.319, 0.883)
Sb (0.250, 0.257, 0.259)
Sb (0.750, 0.181, 0.383)
Sb (0.250, 0.681, 0.117)
Sb (0.250, 0.819, 0.617)
Sb (0.250, 0.243, 0.759)
O (0.017, 0.356, 0.341)
O (0.750, 0.039, 0.283)
O (0.983, 0.856, 0.159)
O (0.483, 0.144, 0.841)
O (0.250, 0.539, 0.217)
O (0.750, 0.461, 0.783)
O (0.983, 0.644, 0.659)
O (0.250, 0.961, 0.717)
O (0.517, 0.856, 0.159)
O (0.517, 0.644, 0.659)
O (0.017, 0.144, 0.841)
O (0.483, 0.356, 0.341)
Zn (0.750, 0.021, 0.089)
Zn (0.250, 0.979, 0.911)
Zn (0.750, 0.479, 0.589)
Zn (0.250, 0.521, 0.411)
Cl (0.750, 0.870, 0.972)
Cl (0.750, 0.141, 0.621)
Cl (0.250, 0.130, 0.028)
Cl (0.250, 0.641, 0.879)
Cl (0.250, 0.370, 0.528)
Cl (0.250, 0.859, 0.379)
Cl (0.750, 0.630, 0.472)
Cl (0.750, 0.359, 0.121)

Crystalline GaNiRh2 at its relaxed geometry, computed with meta-GGA r2SCAN.

E	-18.334	eV per atom
energy relative to the elements	-0.410	eV/atom
total moment	0.500	μB/atom

a = 4.186 Å, b = 4.199 Å, c = 4.199 Å
α = 60.00°, β = 59.89°, γ = 59.89°
Atoms (fractional coordinates):
Rh (0.997, 0.001, 0.001)
Rh (0.503, 0.499, 0.499)
Ni (0.750, 0.750, 0.750)
Ga (0.250, 0.250, 0.250)

Crystalline MnBi2Se4 at its relaxed geometry, computed with meta-GGA r2SCAN.

E	-27.586	eV per atom
energy relative to the elements	-0.595	eV/atom
total moment	0.714	μB/atom

a = 4.079 Å, b = 6.968 Å, c = 14.116 Å
α = 87.49°, β = 81.69°, γ = 72.98°
Atoms (fractional coordinates):
Se (0.166, 0.345, 0.322)
Se (0.343, 0.270, 0.044)
Se (0.834, 0.655, 0.678)
Se (0.013, 0.148, 0.826)
Se (0.987, 0.852, 0.174)
Se (0.601, 0.245, 0.554)
Se (0.657, 0.730, 0.956)
Se (0.399, 0.755, 0.446)
Bi (0.352, 0.433, 0.863)
Bi (0.779, 0.070, 0.372)
Bi (0.648, 0.567, 0.137)
Bi (0.221, 0.930, 0.628)
Mn (0.000, 0.500, 0.500)
Mn (0.000, 0.000, 0.000)

Crystalline CsW3Br7 at its relaxed geometry, computed with meta-GGA r2SCAN.

E	-25.590	eV per atom
energy relative to the elements	-0.860	eV/atom
total moment	0.000	μB/atom

a = 10.318 Å, b = 10.318 Å, c = 15.628 Å
α = 90.00°, β = 90.00°, γ = 120.00°
Atoms (fractional coordinates):
Br (0.333, 0.667, 0.544)
Br (0.686, 0.653, 0.590)
Br (0.673, 0.039, 0.179)
Br (0.366, 0.327, 0.179)
Br (0.032, 0.688, 0.409)
Br (0.033, 0.347, 0.090)
Br (0.634, 0.961, 0.679)
Br (0.653, 0.686, 0.090)
Br (0.314, 0.967, 0.090)
Br (0.038, 0.368, 0.821)
Br (0.347, 0.033, 0.590)
Br (0.967, 0.314, 0.590)
Br (0.344, 0.312, 0.909)
Br (0.039, 0.673, 0.679)
Br (0.961, 0.634, 0.179)
Br (0.368, 0.038, 0.321)
Br (0.632, 0.670, 0.821)
Br (0.968, 0.656, 0.909)
Br (0.327, 0.366, 0.679)
Br (0.962, 0.330, 0.321)
Br (0.656, 0.968, 0.409)
Br (0.330, 0.962, 0.821)
Br (0.667, 0.333, 0.456)
Br (0.312, 0.344, 0.409)
Br (0.670, 0.632, 0.321)
Br (0.688, 0.032, 0.909)
Br (0.667, 0.333, 0.044)
Br (0.333, 0.667, 0.956)
W (0.480, 0.665, 0.681)
W (0.519, 0.334, 0.318)
W (0.334, 0.519, 0.818)
W (0.814, 0.481, 0.318)
W (0.665, 0.480, 0.181)
W (0.481, 0.814, 0.818)
W (0.186, 0.666, 0.818)
W (0.335, 0.815, 0.681)
W (0.815, 0.335, 0.181)
W (0.185, 0.520, 0.681)
W (0.666, 0.186, 0.318)
W (0.520, 0.185, 0.181)
Cs (0.000, 0.000, 0.000)
Cs (0.333, 0.667, 0.242)
Cs (0.000, 0.000, 0.500)
Cs (0.667, 0.333, 0.742)

Crystalline Li5Mg at its relaxed geometry, computed with meta-GGA r2SCAN.

E	-2.699	eV per atom
energy relative to the elements	-0.015	eV/atom
total moment	0.001	μB/atom

a = 5.959 Å, b = 5.959 Å, c = 7.269 Å
α = 74.56°, β = 74.56°, γ = 29.58°
Atoms (fractional coordinates):
Li (0.666, 0.666, 0.668)
Li (0.278, 0.278, 0.944)
Li (0.000, 0.000, 0.003)
Li (0.333, 0.333, 0.332)
Li (0.945, 0.945, 0.612)
Mg (0.612, 0.612, 0.274)